[1]
Entry from Materials Project: crystalline Na7Ca2In2P5SO24 at its relaxed geometry (PBE).

MP2020-corrected energy (eV/atom): -6.73
Space group: No. 1
Formation enthalpy at 0 K (eV per atom): -2.616

Cell: 9.295 9.273 23.016 Å, 90.17 89.98 119.89°
Positions (direct):
In 0.993 0.995 0.346
O 0.823 0.797 0.585
P 0.959 0.625 0.082
P 0.378 0.335 0.082
O 0.977 0.800 0.085
Na 0.004 0.367 0.752
O 0.825 0.305 0.248
P 0.994 0.697 0.750
Ca 0.332 0.671 0.821
O 0.822 0.020 0.088
O 0.691 0.522 0.246
O 0.880 0.520 0.138
O 0.137 0.493 0.580
Na 0.335 0.646 0.168
O 0.020 0.802 0.696
P 0.701 0.696 0.249
O 0.481 0.160 0.921
O 0.527 0.850 0.756
O 0.658 0.512 0.921
P 0.665 0.039 0.086
P 0.702 0.004 0.748
S 0.332 0.359 0.418
O 0.508 0.865 0.081
P 0.963 0.335 0.583
O 0.204 0.176 0.085
O 0.818 0.034 0.801
O 0.841 0.508 0.421
Ca 0.334 0.676 0.513
P 0.994 0.300 0.250
Na 0.296 0.332 0.586
O 0.569 0.869 0.470
O 0.179 0.192 0.410
O 0.166 0.990 0.911
Ca 0.000 0.000 0.650
O 0.852 0.350 0.922
O 0.361 0.869 0.580
P 0.645 0.977 0.416
Na 0.998 0.008 0.000
O 0.775 0.976 0.692
P 0.664 0.624 0.582
O 0.880 0.359 0.639
O 0.506 0.639 0.580
O 0.133 0.641 0.079
O 0.857 0.311 0.528
Na 0.995 0.628 0.254
S 0.643 0.667 0.917
O 0.010 0.182 0.910
O 0.481 0.314 0.746
O 0.545 0.897 0.360
O 0.205 0.983 0.196
O 0.218 0.027 0.302
O 0.998 0.823 0.410
O 0.488 0.358 0.135
O 0.304 0.873 0.971
Na 0.297 0.963 0.080
O 0.670 0.157 0.421
O 0.316 0.852 0.255
O 0.833 0.522 0.747
O 0.355 0.901 0.861
O 0.148 0.675 0.755
O 0.638 0.117 0.142
O 0.200 0.223 0.695
Na 0.668 0.704 0.087
O 0.565 0.689 0.970
O 0.688 0.166 0.746
O 0.541 0.643 0.865
O 0.201 0.024 0.586
O 0.814 0.814 0.912
O 0.361 0.493 0.080
In 0.669 0.338 0.182
Na 0.661 0.329 0.333
O 0.813 0.776 0.304
O 0.485 0.345 0.422
O 0.850 0.542 0.028
O 0.477 0.120 0.641
Na 0.634 0.638 0.748
O 0.330 0.478 0.756
O 0.139 0.480 0.255
In 0.002 0.007 0.845
Na 0.642 0.997 0.252
Na 0.038 0.333 0.083
Na 0.965 0.308 0.414
P 0.021 0.667 0.416
O 0.685 0.539 0.527
P 0.024 0.357 0.916
O 0.014 0.220 0.194
O 0.102 0.463 0.862
O 0.973 0.192 0.305
Na 0.982 0.668 0.916
Na 0.668 0.962 0.584
Na 0.334 0.668 0.667
P 0.376 0.042 0.584
O 0.462 0.156 0.532
O 0.978 0.176 0.586
Na 0.668 0.315 0.834
O 0.825 0.998 0.411
O 0.226 0.192 0.805
O 0.966 0.780 0.805
O 0.532 0.687 0.255
Na 0.325 0.299 0.919
Ca 0.331 0.669 0.014
O 0.694 0.151 0.033
O 0.360 0.468 0.368
Ca 0.333 0.665 0.320
In 0.668 0.328 0.485
O 0.458 0.313 0.025
Ca 0.001 0.004 0.150
Na 0.005 0.993 0.501
P 0.330 0.978 0.916
S 0.301 0.005 0.250
In 0.667 0.322 0.985
O 0.784 0.800 0.194
Na 0.364 0.996 0.752
O 0.304 0.431 0.471
Na 0.700 0.674 0.418
O 0.472 0.152 0.247
O 0.099 0.635 0.363
O 0.642 0.519 0.638
O 0.132 0.434 0.971
Na 0.038 0.705 0.582
In 0.668 0.333 0.683
P 0.306 0.301 0.749
O 0.119 0.688 0.472



[2]
Entry from Materials Project: crystalline Na3Ca2In2PS5O24 at its relaxed geometry (PBE).

MP2020-corrected energy (eV/atom): -6.58
Space group: No. 1
Formation enthalpy at 0 K (eV per atom): -2.306

Cell: 9.091 9.067 23.648 Å, 89.96 89.99 119.93°
Positions (direct):
O 0.642 0.120 0.135
O 0.660 0.511 0.922
In 0.669 0.331 0.684
O 0.482 0.354 0.134
O 0.008 0.183 0.911
O 0.200 0.021 0.585
In 0.673 0.335 0.185
Na 0.012 0.001 0.000
Ca 0.340 0.666 0.819
Na 0.369 0.998 0.749
O 0.681 0.139 0.032
O 0.538 0.646 0.869
O 0.537 0.891 0.368
O 0.960 0.173 0.586
S 0.665 0.040 0.083
O 0.842 0.537 0.031
In 0.660 0.331 0.482
O 0.816 0.821 0.913
O 0.681 0.170 0.747
O 0.652 0.525 0.635
Ca 0.008 0.002 0.148
S 0.299 0.294 0.750
O 0.487 0.340 0.420
O 0.132 0.642 0.081
S 0.642 0.667 0.919
O 0.377 0.497 0.078
S 0.332 0.979 0.915
S 0.957 0.336 0.582
O 0.374 0.869 0.580
P 0.954 0.622 0.084
S 0.026 0.357 0.916
S 0.305 0.009 0.250
In 0.988 0.000 0.847
Na 0.333 0.662 0.667
Ca 0.332 0.667 0.318
O 0.201 0.214 0.699
O 0.853 0.317 0.531
O 0.819 0.024 0.087
O 0.309 0.873 0.965
O 0.471 0.306 0.747
Na 0.667 0.333 0.333
O 0.869 0.516 0.138
O 0.534 0.681 0.255
O 0.143 0.465 0.255
Na 0.672 0.700 0.081
O 0.469 0.152 0.531
O 0.010 0.211 0.200
Ca 0.327 0.667 0.515
O 0.834 0.306 0.248
O 0.325 0.858 0.256
Na 0.680 0.337 0.834
O 0.021 0.806 0.701
O 0.812 0.784 0.300
O 0.353 0.460 0.365
O 0.839 0.529 0.746
O 0.460 0.310 0.031
O 0.782 0.795 0.197
O 0.848 0.512 0.422
O 0.567 0.688 0.971
O 0.104 0.459 0.865
Ca 0.005 0.001 0.648
O 0.320 0.464 0.757
S 0.023 0.666 0.416
S 0.380 0.335 0.083
O 0.100 0.641 0.365
O 0.004 0.822 0.410
O 0.481 0.123 0.639
In 0.001 0.000 0.348
Na 0.306 0.664 0.166
O 0.204 0.989 0.200
S 0.994 0.294 0.250
O 0.511 0.639 0.580
S 0.332 0.358 0.416
O 0.816 0.798 0.586
O 0.972 0.191 0.303
O 0.971 0.779 0.803
S 0.666 0.624 0.583
P 0.377 0.042 0.584
O 0.357 0.904 0.862
O 0.515 0.865 0.080
O 0.208 0.188 0.086
Na 0.026 0.003 0.501
O 0.518 0.852 0.754
O 0.665 0.150 0.421
O 0.149 0.684 0.757
Na 0.663 0.966 0.588
O 0.124 0.691 0.467
In 0.673 0.335 0.983
O 0.960 0.796 0.086
O 0.177 0.998 0.909
O 0.688 0.525 0.247
O 0.220 0.184 0.802
O 0.309 0.435 0.467
S 0.994 0.700 0.751
S 0.704 0.699 0.249
O 0.225 0.033 0.302
O 0.129 0.483 0.579
O 0.811 0.028 0.801
Ca 0.317 0.666 0.016
S 0.644 0.975 0.417
O 0.572 0.878 0.470
O 0.880 0.360 0.635
O 0.125 0.434 0.967
O 0.779 0.987 0.692
P 0.701 0.005 0.747
O 0.850 0.335 0.921
O 0.688 0.543 0.532
O 0.817 0.992 0.410
O 0.488 0.152 0.922
O 0.477 0.167 0.246
O 0.177 0.183 0.411



[3]
Entry from Materials Project: crystalline Na5Ca2In2P3S3O24 at its relaxed geometry (PBE).

MP2020-corrected energy (eV/atom): -6.66
Space group: No. 1
Formation enthalpy at 0 K (eV per atom): -2.466

Cell: 9.253 9.266 22.757 Å, 90.74 90.16 120.06°
Positions (direct):
O 0.358 0.476 0.367
Ca 0.664 0.328 0.684
O 0.654 0.543 0.643
S 0.694 0.707 0.250
O 0.345 0.893 0.982
O 0.334 0.466 0.079
P 0.967 0.647 0.088
O 0.539 0.640 0.858
O 0.516 0.829 0.753
Na 0.674 0.969 0.575
O 0.685 0.543 0.531
O 0.522 0.156 0.923
P 0.009 0.306 0.254
O 0.794 0.815 0.915
O 0.379 0.887 0.871
S 0.681 0.035 0.083
O 0.337 0.452 0.474
O 0.498 0.355 0.418
O 0.980 0.157 0.584
Na 0.620 0.306 0.334
O 0.201 0.004 0.919
O 0.836 0.816 0.587
O 0.855 0.330 0.247
O 0.989 0.828 0.085
O 0.444 0.302 0.030
O 0.122 0.459 0.964
O 0.886 0.332 0.642
Na 0.967 0.298 0.412
O 0.100 0.454 0.857
Ca 0.668 0.337 0.183
Na 0.639 0.647 0.741
O 0.314 0.823 0.250
O 0.987 0.195 0.913
O 0.204 0.234 0.688
O 0.144 0.670 0.084
S 0.019 0.368 0.913
O 0.674 0.539 0.245
S 0.359 0.322 0.083
O 0.438 0.142 0.530
In 0.336 0.677 0.819
O 0.997 0.798 0.414
Na 0.689 0.021 0.907
O 0.148 0.473 0.581
Ca 0.007 0.002 0.351
O 0.205 0.996 0.301
O 0.537 0.892 0.361
O 0.526 0.695 0.252
Na 0.303 0.622 0.166
O 0.655 0.162 0.418
O 0.654 0.510 0.918
P 0.299 0.314 0.748
S 0.357 0.037 0.582
O 0.456 0.118 0.635
In 0.676 0.348 0.986
O 0.169 0.484 0.256
O 0.482 0.137 0.247
O 0.887 0.563 0.146
O 0.028 0.802 0.695
O 0.860 0.302 0.529
O 0.522 0.666 0.581
O 0.101 0.637 0.359
Ca 0.324 0.660 0.018
O 0.190 0.026 0.585
O 0.695 0.133 0.028
P 0.694 0.990 0.754
O 0.997 0.788 0.802
O 0.835 0.021 0.086
O 0.686 0.152 0.751
O 0.857 0.551 0.034
O 0.855 0.494 0.417
O 0.549 0.890 0.475
S 0.022 0.654 0.415
P 0.301 0.988 0.248
P 0.969 0.323 0.585
O 0.299 0.486 0.752
O 0.533 0.666 0.964
O 0.338 0.870 0.577
O 0.122 0.662 0.466
O 0.024 0.212 0.199
O 0.777 0.962 0.698
P 0.352 0.980 0.925
Ca 0.021 0.007 0.853
O 0.985 0.209 0.310
O 0.193 0.208 0.414
Na 0.305 0.964 0.080
O 0.203 0.967 0.189
Na 0.991 0.347 0.745
O 0.160 0.682 0.752
S 0.347 0.373 0.419
S 0.630 0.658 0.915
O 0.204 0.204 0.799
O 0.860 0.536 0.746
Na 0.651 0.014 0.257
Na 0.313 0.346 0.589
O 0.451 0.333 0.136
O 0.191 0.163 0.083
O 0.816 0.007 0.418
O 0.775 0.811 0.197
In 0.672 0.336 0.487
O 0.530 0.868 0.079
Na 0.611 0.298 0.831
O 0.664 0.120 0.135
Na 0.006 0.635 0.240
O 0.792 0.789 0.303
Na 0.321 0.671 0.666
Na 0.968 0.956 0.499
P 0.637 0.981 0.419
In 0.339 0.674 0.319
Na 0.010 0.980 0.999
In 0.998 0.003 0.653
P 0.675 0.639 0.586
O 0.852 0.358 0.915
S 0.010 0.705 0.749
O 0.792 0.997 0.809
O 0.482 0.354 0.748
In 0.008 0.004 0.153
Ca 0.334 0.670 0.516



Which value of MP2020-corrected energy does entry 1 give?
-6.73 eV/atom



What is the formula in the first record?
Na7Ca2In2P5SO24



Look up the MP2020-corrected energy of the third one.
-6.66 eV/atom